# CaSiPd | the Materials Project database | r2SCAN | relaxed
data_CaSiPd
_chemical_formula_sum 'Ca4 Si4 Pd4'
_space_group_name_H-M_alt 'P 1 21/c 1'
_space_group_IT_number 14
_cell_length_a 5.9037
_cell_length_b 5.7706
_cell_length_c 7.7588
_cell_angle_alpha 90.00
_cell_angle_beta 116.62
_cell_angle_gamma 90.00
loop_
_space_group_symop_operation_xyz
'x,y,z'
'-x,-y,-z'
'-x,y+1/2,-z+1/2'
'x,-y+1/2,z+1/2'
loop_
_atom_site_label
_atom_site_type_symbol
_atom_site_fract_x
_atom_site_fract_y
_atom_site_fract_z
Ca1 Ca 0.2032 0.1281 0.3848
Si1 Si 0.2207 0.6186 0.5471
Pd1 Pd 0.3856 0.6120 0.3116
# - formation enthalpy at 0 K (eV/f.u.) = -2.44
# - raw total energy (eV/atom) = -13.739

# CaSi2Pd2 | the Materials Project database | r2SCAN | relaxed
data_CaSi2Pd2
_chemical_formula_sum 'Ca2 Si4 Pd4'
_space_group_name_H-M_alt 'I 4/m m m'
_space_group_IT_number 139
_space_group_name_Hall '-I 4 2'
_cell_length_a 4.1985
_cell_length_b 4.1985
_cell_length_c 9.8770
_cell_angle_alpha 90.00
_cell_angle_beta 90.00
_cell_angle_gamma 90.00
loop_
_atom_site_label
_atom_site_type_symbol
_atom_site_fract_x
_atom_site_fract_y
_atom_site_fract_z
Ca1 Ca 0.0000 0.0000 0.0000
Si1 Si 0.0000 0.0000 0.3788
Pd1 Pd 0.0000 0.5000 0.2500
# - formation enthalpy at 0 K (eV/f.u.) = -4.08
# - raw total energy (eV/atom) = -14.917

- Which value of formation enthalpy at 0 K does entry 2 give?
  -4.08 eV/f.u.

Copy entry 1 word for word.
# CaSiPd | the Materials Project database | r2SCAN | relaxed
data_CaSiPd
_chemical_formula_sum 'Ca4 Si4 Pd4'
_space_group_name_H-M_alt 'P 1 21/c 1'
_space_group_IT_number 14
_cell_length_a 5.9037
_cell_length_b 5.7706
_cell_length_c 7.7588
_cell_angle_alpha 90.00
_cell_angle_beta 116.62
_cell_angle_gamma 90.00
loop_
_space_group_symop_operation_xyz
'x,y,z'
'-x,-y,-z'
'-x,y+1/2,-z+1/2'
'x,-y+1/2,z+1/2'
loop_
_atom_site_label
_atom_site_type_symbol
_atom_site_fract_x
_atom_site_fract_y
_atom_site_fract_z
Ca1 Ca 0.2032 0.1281 0.3848
Si1 Si 0.2207 0.6186 0.5471
Pd1 Pd 0.3856 0.6120 0.3116
# - formation enthalpy at 0 K (eV/f.u.) = -2.44
# - raw total energy (eV/atom) = -13.739

- Which value of raw total energy does entry 2 give?
  -14.917 eV/atom